--- P ---
La4MgGa2Fe2O12 after structural relaxation. Source: Materials Project, functional PBE+U. Values from VASP.

Geometry as Quantum ESPRESSO input:
```
&SYSTEM
  ibrav = 0, nat = 21, ntyp = 5
/
ATOMIC_SPECIES
O 16.00 O.upf
Mg 24.30 Mg.upf
Fe 55.84 Fe.upf
La 138.91 La.upf
Ga 69.72 Ga.upf
CELL_PARAMETERS angstrom
0.3569 -1.4934 5.9648
5.5718 0.1073 -0.5983
0.0798 7.7467 2.0665
ATOMIC_POSITIONS angstrom
O 0.7783 1.3156 3.3915
O 4.0808 3.1415 2.4852
O 2.1700 6.2836 5.9431
O 3.5157 5.8659 1.4419
O 1.1590 4.0026 2.2885
O 1.9778 3.3088 5.0661
O 3.9523 0.1574 1.4720
O 1.3934 7.0642 2.8284
O 2.3779 0.5039 5.9213
O 4.8904 2.3997 5.2128
O 4.7837 -0.6153 4.7021
O 5.2740 5.0572 4.1919
Mg 0.9277 -0.1483 4.6477
Fe 5.6963 6.8843 3.6970
Fe 3.1140 2.5020 6.7046
La 3.3308 1.2122 3.6368
La 0.5169 4.3906 7.0548
La 2.8925 5.1458 3.8286
La 5.4230 2.1998 0.7370
Ga 0.2781 3.1487 4.1563
Ga 2.9803 7.7694 1.7807
```

Output
* crystal system: triclinic


--- Q ---
La4MgGa2Fe2O12 after structural relaxation. Source: Materials Project, functional PBE+U. Values from VASP.

Geometry as Quantum ESPRESSO input:
```
&SYSTEM
  ibrav = 0, nat = 21, ntyp = 5
/
ATOMIC_SPECIES
O 16.00 O.upf
Fe 55.84 Fe.upf
Ga 69.72 Ga.upf
Mg 24.30 Mg.upf
La 138.91 La.upf
CELL_PARAMETERS angstrom
-5.9451 0.0795 0.2539
0.2460 -0.2844 -5.6543
0.1212 -8.5563 -0.4335
ATOMIC_POSITIONS angstrom
O -0.8698 -5.1295 -1.0950
O -4.5876 -3.7499 -4.6419
O -2.6661 -2.3758 -0.6527
O -0.9188 -8.3194 -1.7575
O -1.4969 -3.9843 -3.8041
O -3.8575 -8.0355 -2.0254
O -5.4924 -1.8966 -2.1199
O -1.5339 -0.8070 -4.1099
O -4.0301 -4.6363 -1.8113
O -4.5529 -0.5537 -4.3989
O -2.9377 -6.1382 -5.1024
O -0.0097 -6.8426 -3.9782
Fe -2.8899 -0.1871 -0.0748
Fe 0.0339 -3.9525 -2.3997
Ga 0.1513 -8.7078 -3.4777
Ga -3.3688 -4.0751 -0.0851
Mg -0.2537 -5.1051 -4.8198
La -0.1142 -2.1212 -5.7185
La -3.1760 -2.2484 -3.0159
La -2.3783 -6.3475 -2.8559
La -5.1911 -6.8056 -0.5162
```

Output
* crystal system: triclinic


--- R ---
La4MgGa2Fe2O12 after structural relaxation. Source: Materials Project, functional PBE+U. Values from VASP.

Geometry as Quantum ESPRESSO input:
```
&SYSTEM
  ibrav = 0, nat = 21, ntyp = 5
/
ATOMIC_SPECIES
O 16.00 O.upf
Ga 69.72 Ga.upf
La 138.91 La.upf
Fe 55.84 Fe.upf
Mg 24.30 Mg.upf
CELL_PARAMETERS angstrom
-6.2444 0.1887 0.0307
0.0715 0.1666 -5.6556
0.2548 -8.4425 0.2541
ATOMIC_POSITIONS angstrom
O -0.7162 -5.0501 -0.9008
O -5.9777 -2.0006 -2.0556
O -0.1695 -5.8311 -3.5879
O -4.9879 -3.1322 -4.4726
O -1.7600 -0.3687 -3.8094
O -5.2199 -0.1642 -4.2383
O -2.1550 -3.3254 -4.3079
O -3.9561 -4.6933 -1.3318
O -0.6596 -8.0770 -0.9381
O -3.8983 -7.9058 -1.3914
O -2.8822 -6.3442 -4.6022
O -2.9433 -1.8629 -0.6852
Ga -3.6131 -3.4753 0.0231
Ga -0.1103 -0.3617 -2.7398
La -5.1990 -6.4782 0.1680
La -2.2304 -6.4017 -2.2136
La -0.4418 -1.9051 -5.4805
La -3.5832 -1.6451 -2.9513
Fe -2.8506 0.2356 -5.6116
Fe -5.8149 -4.0603 -2.4775
Mg -1.4508 -5.0314 -4.8280
```

Output
* crystal system: triclinic


--- S ---
La4MgGa2Fe2O12 after structural relaxation. Source: Materials Project, functional PBE+U. Values from VASP.

Geometry as Quantum ESPRESSO input:
```
&SYSTEM
  ibrav = 0, nat = 21, ntyp = 5
/
ATOMIC_SPECIES
O 16.00 O.upf
La 138.91 La.upf
Ga 69.72 Ga.upf
Mg 24.30 Mg.upf
Fe 55.84 Fe.upf
CELL_PARAMETERS angstrom
-5.4771 0.8228 0.0570
0.0592 -0.0571 -5.7861
1.0603 -9.9462 -0.0423
ATOMIC_POSITIONS angstrom
O -3.8207 -3.8897 -4.5194
O -3.6581 -0.8014 -4.6809
O -4.6187 -1.6929 -2.2985
O -2.8057 -6.3587 -5.2443
O -2.5432 -8.5861 -2.7071
O -3.6289 -4.4420 -1.5678
O -0.9628 -0.5319 -3.5972
O -1.9033 -2.3670 -0.5426
O -0.1358 -8.8773 -0.7665
O 0.0431 -7.0776 -3.3443
O -0.9453 -5.0510 -1.1691
O -1.1611 -4.2504 -4.1389
La -2.3712 -2.5323 -2.9310
La -5.0388 -2.2633 -0.0900
La 0.2875 -6.8824 -5.7079
La -2.5894 -6.2747 -2.9611
Ga -4.6133 -0.0455 -3.2564
Ga -2.3593 -4.5110 -5.7678
Mg -0.5569 -8.8525 -2.6672
Fe 0.3034 -4.9187 -2.9142
Fe -1.8839 -0.4840 -5.5712
```

Output
* crystal system: triclinic


The most stable arrangement is S, and the next structure is 1.8 kJ/mol of atoms less stable.


--- P ---
La4Ga3FeO12 after structural relaxation. Source: Materials Project, functional PBE+U. Values from VASP.

Geometry as Quantum ESPRESSO input:
```
&SYSTEM
  ibrav = 0, nat = 80, ntyp = 4
/
ATOMIC_SPECIES
O 16.00 O.upf
Ga 69.72 Ga.upf
La 138.91 La.upf
Fe 55.84 Fe.upf
CELL_PARAMETERS angstrom
-5.5978 0.0028 -0.0006
0.0033 -7.8878 -5.5722
0.0065 -7.8944 16.7258
ATOMIC_POSITIONS angstrom
O -2.8822 -13.7996 7.9158
O -2.7057 -1.9796 3.2375
O -5.5002 -9.8798 10.7154
O -5.5059 -1.9870 -0.4351
O -1.5757 -3.6033 6.7961
O -0.0810 -13.7924 11.5903
O -3.9968 -7.5547 9.9282
O -4.3732 -8.2222 7.1646
O -1.2182 -4.2871 4.0063
O -1.2133 -12.1775 9.5836
O -1.2134 -7.5603 15.1377
O -4.3731 -8.2197 -3.9840
O -1.2164 -7.5562 3.9885
O -4.3689 -11.4943 12.7212
O -2.7003 -9.8722 14.3877
O -3.9982 -7.5520 -1.2209
O -1.2192 -4.2848 -1.5686
O -4.0161 -4.2874 4.3543
O -1.2142 -12.1760 4.0083
O -1.5910 -8.2233 -4.3495
O -5.5018 -9.8773 -0.4350
O -1.5766 -3.6011 1.2227
O -4.0110 -12.1779 9.9312
O -4.3714 -8.2244 12.7392
O -2.8878 -5.9073 -3.2351
O -2.8869 -5.9103 7.9133
O -1.5881 -8.2285 12.3740
O -1.5712 -11.4944 12.3734
O -1.2161 -7.5556 -1.5867
O -4.3731 -8.2217 1.5898
O -5.5017 -9.8775 5.1412
O -0.0851 -5.9028 11.5875
O -2.7012 -9.8703 8.8132
O -2.8872 -5.9087 2.3396
O -3.9995 -7.5527 4.3533
O -2.7020 -9.8690 3.2389
O -4.3738 -3.6033 7.1438
O -1.5718 -11.4920 6.7990
O -1.5911 -8.2257 6.7984
O -4.0173 -4.2855 -1.2207
O -0.0865 -5.9008 6.0127
O -0.0870 -5.9001 0.4369
O -1.5896 -8.2250 1.2249
O -3.9962 -7.5566 15.5027
O -4.0124 -12.1759 4.3558
O -1.2146 -7.5580 9.5624
O -4.3747 -3.6018 1.5705
O -4.3698 -11.4920 7.1469
Ga -2.7916 -11.8354 8.3643
Ga 0.0016 -3.9447 0.0019
Ga -2.7950 -7.8877 -2.7858
Ga -2.7924 -7.8920 13.9371
Ga 0.0068 -11.8359 5.5789
Ga -2.7944 -7.8905 8.3625
Ga -2.7958 -3.9458 8.3610
Ga -2.7953 -7.8884 2.7895
Ga -2.7966 -3.9438 2.7895
Ga -2.7910 -11.8368 13.9386
Ga 0.0074 -11.8376 11.1539
Ga -5.5943 -3.9440 5.5745
La -5.4125 -5.9124 8.4035
La -2.9743 -1.9768 0.0501
La -2.6179 -5.9126 11.1004
La -5.4086 -13.8020 8.4069
La -2.6130 -13.8023 11.1044
La -2.9705 -9.8675 0.0521
La -2.9693 -9.8707 11.2011
La -0.1746 -9.8670 2.7495
La -2.6196 -5.9106 -0.0484
La -5.4138 -5.9102 -2.7446
La -2.6190 -5.9106 5.5260
La -0.1742 -9.8677 8.3235
La -0.1790 -1.9772 2.7466
La -2.9707 -9.8673 5.6263
La -0.1733 -9.8698 13.8983
La -5.4136 -5.9116 2.8294
Fe 0.0014 -7.8865 -5.5707
Fe -5.5909 -7.8900 11.1506
Fe 0.0039 -7.8913 0.0005
Fe 0.0044 -7.8896 5.5764
```


--- Q ---
La4Ga3FeO12 after structural relaxation. Source: Materials Project, functional PBE+U. Values from VASP.

Geometry as Quantum ESPRESSO input:
```
&SYSTEM
  ibrav = 0, nat = 40, ntyp = 4
/
ATOMIC_SPECIES
O 16.00 O.upf
Ga 69.72 Ga.upf
La 138.91 La.upf
Fe 55.84 Fe.upf
CELL_PARAMETERS angstrom
-5.6069 0.0004 -0.0001
0.0000 -3.2357 -8.9849
0.0007 -9.7097 0.0010
ATOMIC_POSITIONS angstrom
O -4.4007 -8.5602 -1.1210
O -4.3980 -10.8621 -5.6136
O -5.2144 -8.1039 -5.6209
O -4.0090 -2.7667 -3.3707
O -1.2054 -4.3848 -7.8630
O -2.4110 -6.4863 -1.1283
O -3.1972 -9.7119 -3.3691
O -5.2125 -1.6150 -1.1225
O -0.3937 -11.3299 -7.8615
O -3.1951 -6.4587 -7.8557
O -1.2081 -2.0829 -3.3705
O -1.5875 -3.6988 -1.1272
O -4.3910 -5.3164 -5.6197
O -2.4090 -3.2330 -5.6149
O -0.3918 -4.8410 -3.3632
O -4.0115 -3.7005 -7.8630
O -4.4123 -4.3757 -1.1297
O -1.5946 -9.2445 -1.1211
O -1.6089 -5.9937 -5.6221
O -1.2152 -7.6285 -3.3644
O -1.5972 -10.1782 -5.6134
O -4.0186 -9.2460 -7.8569
O -1.1938 -8.5692 -7.8544
O -3.9973 -6.9512 -3.3620
Ga -2.8058 -4.8457 -6.7409
Ga -2.8034 -1.6176 -4.4925
Ga -2.8003 -8.0992 -2.2431
Ga -0.0024 -3.2281 -2.2484
Ga -5.6069 0.0004 -0.0001
Ga -5.6037 -9.7169 -6.7357
La -2.8049 -8.0911 -5.6105
La -0.0021 -9.7099 -3.3678
La -2.8006 -1.6174 -1.1238
La -2.8014 -4.8537 -3.3737
La -5.6041 -3.2351 -5.6162
La -0.0014 -6.4736 -1.1179
La -5.6047 -6.4714 -7.8662
La -2.8055 -11.3274 -7.8602
Fe -2.8031 -4.8546 0.0004
Fe 0.0003 -6.4727 -4.4920
```


The most stable arrangement is P, and the next structure is 0.6 kJ/mol of atoms less stable.


--- P ---
K2FeH4S2O10 after structural relaxation. Source: Materials Project, functional PBE+U. Values from VASP.

Geometry as Quantum ESPRESSO input:
```
&SYSTEM
  ibrav = 0, nat = 76, ntyp = 5
/
ATOMIC_SPECIES
O 16.00 O.upf
H 1.01 H.upf
S 32.06 S.upf
Fe 55.84 Fe.upf
K 39.10 K.upf
CELL_PARAMETERS angstrom
-8.0686 4.9915 0.9823
1.0739 -4.8163 8.3293
4.9366 10.1638 1.0397
ATOMIC_POSITIONS angstrom
O -2.7632 -0.4132 6.3247
O -4.2256 6.8859 4.0948
O 0.2602 4.6676 7.2227
O -0.7897 8.9877 3.2810
O -0.7889 9.6568 5.6470
O 0.2596 3.9970 4.8580
O -1.9878 2.7960 3.1286
O 2.8103 0.7655 7.1814
O -2.3209 6.3452 5.4920
O 3.9989 7.9675 5.7430
O 4.7172 5.8533 7.3207
O -3.0167 7.9665 8.3056
O -3.0402 7.7886 1.5510
O 0.9807 2.5502 8.7979
O 2.8143 7.0672 8.2937
O 1.1163 8.4440 4.6761
O -0.7677 9.1623 10.0355
O 2.1646 3.4534 6.2538
O 1.3097 -0.9947 6.4341
O -4.8528 3.4492 8.8085
O -3.1716 1.8948 5.6782
O -3.8165 4.5801 4.7463
O -1.2645 1.3497 7.0718
O 0.9588 2.3725 2.0464
O -5.2803 5.5791 1.4116
O -1.2890 1.1735 0.3174
O 2.7942 6.8887 1.5381
O -4.8719 3.2727 2.0614
O -3.3701 11.3349 3.9154
O -6.0566 2.3711 4.6080
O -0.0689 7.5435 7.2247
O -2.3199 5.6725 3.1278
O 1.7570 5.7599 5.6048
O -3.3714 10.6656 1.5505
O -4.8686 9.5731 3.1677
O -1.2679 0.6812 4.7058
O -6.7763 4.4866 3.0312
O 3.2213 4.7594 8.9394
O 1.3145 -0.3277 8.7998
O 0.7075 10.7516 4.0293
H -6.5179 3.1055 4.1201
H -2.6487 8.7951 8.6761
H 0.4957 3.1069 1.5607
H -0.5309 8.2761 6.7351
H -1.5244 2.0630 3.6161
H -0.5727 -1.3644 5.0696
H -1.4854 11.7042 5.2792
H 4.4616 7.2345 6.2314
H 0.5184 3.2858 8.3132
H 0.6130 1.7212 8.4276
H -0.4336 6.7111 6.8589
H 0.5920 1.5421 1.6788
H -1.6227 3.6278 3.4950
H -2.5789 7.0542 2.0385
H -2.6743 8.6191 1.9198
H -2.5554 7.2303 8.7904
S -3.1406 5.8636 4.3686
S 1.0803 4.4769 5.9814
S 0.0312 9.4672 4.4052
S -2.0866 0.8710 5.9483
S -4.1912 10.8560 2.7917
S 3.8988 6.0428 8.5630
S 2.1324 -0.5172 7.5575
S -5.9569 4.2958 1.7896
Fe 1.9658 7.7553 6.4862
Fe -4.0222 2.5832 3.8687
Fe -5.0755 7.5756 2.2872
Fe 3.0155 2.7633 8.0602
K 3.4401 9.1402 3.1595
K -3.5767 9.1380 5.7194
K -2.5267 4.1481 7.2964
K 1.5203 1.2003 4.6310
K -5.4990 1.1961 7.1913
K -1.4744 -0.8459 8.8746
K 0.4676 6.1937 3.0536
K -0.5840 11.1857 1.4796
```

Output
* crystal system: triclinic


--- Q ---
K2FeH4S2O10 after structural relaxation. Source: Materials Project, functional PBE+U. Values from VASP.

Geometry as Quantum ESPRESSO input:
```
&SYSTEM
  ibrav = 0, nat = 38, ntyp = 5
/
ATOMIC_SPECIES
H 1.01 H.upf
K 39.10 K.upf
O 16.00 O.upf
S 32.06 S.upf
Fe 55.84 Fe.upf
CELL_PARAMETERS angstrom
6.7629 0.0000 0.0000
2.6014 7.2521 0.0000
2.9176 2.5547 10.1266
ATOMIC_POSITIONS angstrom
H 3.8588 4.3706 6.9035
H 8.3961 3.3315 7.2855
H 8.1256 3.7822 8.7981
H 3.8339 6.4368 2.9777
H 1.9539 1.7323 2.0985
H 3.3580 1.2270 2.7685
H 10.5161 7.7814 8.0801
H 4.3429 6.1359 1.4482
K 5.3574 6.8975 5.8853
K 7.2108 5.6388 0.8627
K 7.0437 2.5333 4.2719
K 5.3485 4.1906 9.2977
O 8.0571 5.8168 5.6446
O 9.6268 6.9891 4.1722
O 3.8831 5.2679 7.3014
O 4.4372 3.5988 4.4757
O 3.0803 4.1283 0.4453
O 9.4762 5.6376 9.8617
O 7.5124 8.4888 9.9014
O 5.1042 1.2084 0.3339
O 4.4351 5.8668 2.4052
O 7.2208 6.9159 3.6409
O 9.6270 7.7462 7.6620
O 5.5863 2.9769 1.9718
O 5.3209 8.2588 8.8520
O 4.9203 1.7055 5.9661
O 2.7708 1.9988 2.6243
O 7.3234 1.4071 1.3326
O 8.0056 4.0443 7.8355
O 2.5527 2.4275 5.6711
O 7.0248 6.6013 8.3698
O 8.5745 4.9116 3.4160
S 6.4770 7.5394 9.4185
S 8.3717 6.1831 4.2067
S 3.9907 2.8079 5.6757
S 6.1358 2.1663 0.8338
Fe 8.8859 6.0430 7.5812
Fe 3.6756 3.9159 2.5004
```

Output
* crystal system: triclinic


The most stable arrangement is P, and the next structure is 8.9 kJ/mol of atoms less stable.